Record 1
Density functional theory data (PBE) for a relaxed MgAlH5 crystal.

Cell lengths 6.885, 6.885, 4.273 Å; angles 90.00, 90.00, 141.78 degrees
Positions (direct):
H 0.350 0.961 0.029
H 0.599 0.783 0.970
H 0.650 0.039 0.529
H 0.039 0.650 0.471
H 0.836 0.836 0.500
H 0.217 0.401 0.530
H 0.401 0.217 0.470
H 0.164 0.164 0.000
H 0.961 0.350 0.971
H 0.783 0.599 0.030
Al 0.909 0.091 0.750
Al 0.091 0.909 0.250
Mg 0.321 0.679 0.250
Mg 0.679 0.321 0.750

DFT formation energy ... -195 meV per atom
Total DFT energy (no corrections) ... -22.8 eV/f.u.
V ... 9.0 Å³ per atom
Mass density ... 1.49 g/cm³
Space-group type ... C222_1 (20)

Record 2
Density functional theory data (PBE) for a relaxed BaMgTiO3 crystal.

Cell lengths 3.896, 3.896, 6.394 Å; angles 90.00, 90.00, 90.00 degrees
Positions (direct):
O 0.500 0.500 0.910
O 0.000 0.500 0.471
O 0.500 0.000 0.471
Ti 0.500 0.500 0.615
Mg 0.000 0.000 0.519
Ba 0.000 0.000 0.044

DFT formation energy ... -2540 meV per atom
Total DFT energy (no corrections) ... -39.4 eV/f.u.
V ... 16.2 Å³ per atom
Mass density ... 4.41 g/cm³
Polymorph energy (0 for the lowest one) ... 178 meV/atom
Space-group type ... P4mm (99)

Record 3
Density functional theory data (PBE) for a relaxed AgGeO3 crystal.

Cell lengths 2.993, 5.325, 7.139 Å; angles 90.00, 90.00, 90.00 degrees
Positions (direct):
Ge 0.000 0.500 0.500
Ge 0.000 0.500 0.000
Ag 0.500 0.978 0.250
Ag 0.500 0.022 0.750
O 0.500 0.260 0.470
O 0.500 0.740 0.530
O 0.500 0.740 0.970
O 0.000 0.404 0.750
O 0.000 0.596 0.250
O 0.500 0.260 0.030

DFT formation energy ... -1312 meV per atom
Total DFT energy (no corrections) ... -26.8 eV/f.u.
V ... 11.4 Å³ per atom
Mass density ... 6.67 g/cm³
Space-group type ... Pmma (51)

Record 4
Density functional theory data (PBE) for a relaxed Mn12Pt4N crystal.

Cell lengths 5.264, 4.198, 9.307 Å; angles 89.84, 90.00, 90.00 degrees
Positions (direct):
Pt 0.000 0.252 0.342
Pt 0.000 0.748 0.658
Pt 0.500 0.746 0.177
Pt 0.500 0.254 0.823
Mn 0.500 0.752 0.645
Mn 0.742 0.760 0.914
Mn 0.258 0.760 0.914
Mn 0.000 0.765 0.171
Mn 0.727 0.248 0.572
Mn 0.258 0.240 0.086
Mn 0.000 0.235 0.829
Mn 0.727 0.752 0.428
Mn 0.273 0.752 0.428
Mn 0.500 0.248 0.355
Mn 0.742 0.240 0.086
Mn 0.273 0.248 0.572
N 0.000 0.500 0.000

DFT formation energy ... -157 meV per atom
Total DFT energy (no corrections) ... -144.9 eV/f.u.
V ... 12.1 Å³ per atom
Mass density ... 11.74 g/cm³
Space-group type ... P2/m (10)

Record 5
Density functional theory data (PBE) for a relaxed Na10TaAl7P12O48 crystal.

Cell lengths 17.133, 8.572, 21.661 Å; angles 90.00, 89.97, 120.02 degrees
Positions (direct):
O 0.682 0.496 0.358
O 0.402 0.830 0.911
O 0.732 0.295 0.027
O 0.085 0.479 0.257
O 0.749 0.868 0.361
O 0.319 0.494 0.924
O 0.928 0.495 0.424
O 0.436 0.373 0.640
O 0.750 0.355 0.424
O 0.396 0.963 0.691
O 0.262 0.694 0.257
O 0.251 0.372 0.140
O 0.751 0.131 0.639
O 0.102 0.171 0.805
O 0.320 0.144 0.424
O 0.482 0.795 0.804
O 0.253 0.364 0.425
O 0.418 0.023 0.091
O 0.251 0.129 0.640
O 0.346 0.172 0.742
O 0.918 0.813 0.591
O 0.985 0.172 0.305
O 0.314 0.126 0.142
O 0.749 0.371 0.142
O 0.085 0.974 0.911
O 0.583 0.187 0.409
O 0.080 0.464 0.977
O 0.651 0.461 0.475
O 0.741 0.314 0.742
O 0.581 0.702 0.476
O 0.512 0.834 0.410
O 0.519 0.209 0.191
O 0.087 0.206 0.690
O 0.814 0.128 0.140
O 0.249 0.854 0.076
O 0.982 0.795 0.804
O 0.896 0.964 0.691
O 0.481 0.166 0.305
O 0.587 0.968 0.191
O 0.935 0.373 0.640
O 0.902 0.830 0.911
O 0.414 0.523 0.741
O 0.846 0.172 0.742
O 0.567 0.634 0.360
O 0.852 0.536 0.528
O 0.267 0.695 0.976
O 0.853 0.168 0.026
O 0.152 0.840 0.977
O 0.652 0.840 0.977
O 0.928 0.361 0.924
O 0.405 0.973 0.410
O 0.914 0.796 0.305
O 0.585 0.974 0.911
O 0.352 0.539 0.526
O 0.654 0.829 0.258
O 0.761 0.829 0.756
O 0.261 0.829 0.756
O 0.436 0.498 0.140
O 0.843 0.518 0.242
O 0.087 0.969 0.190
O 0.416 0.294 0.527
O 0.594 0.024 0.590
O 0.094 0.165 0.090
O 0.488 0.165 0.591
O 0.567 0.499 0.860
O 0.013 0.830 0.411
O 0.678 0.854 0.576
O 0.397 0.830 0.193
O 0.416 0.538 0.026
O 0.418 0.813 0.590
O 0.067 0.634 0.360
O 0.678 0.502 0.076
O 0.414 0.032 0.805
O 0.352 0.169 0.028
O 0.594 0.164 0.091
O 0.488 0.812 0.091
O 0.102 0.031 0.305
O 0.185 0.503 0.362
O 0.094 0.023 0.591
O 0.586 0.477 0.257
O 0.426 0.498 0.425
O 0.916 0.538 0.027
O 0.759 0.686 0.256
O 0.897 0.826 0.190
O 0.819 0.494 0.924
O 0.067 0.499 0.860
O 0.988 0.812 0.091
O 0.915 0.523 0.742
O 0.178 0.502 0.076
O 0.935 0.498 0.140
O 0.016 0.824 0.690
O 0.586 0.691 0.757
O 0.749 0.854 0.076
O 0.683 0.867 0.860
O 0.016 0.208 0.190
O 0.249 0.644 0.577
O 0.914 0.032 0.805
O 0.428 0.361 0.925
O 0.252 0.635 0.858
O 0.815 0.503 0.642
O 0.767 0.695 0.976
O 0.916 0.294 0.527
O 0.749 0.643 0.576
O 0.657 0.481 0.756
O 0.730 0.164 0.525
O 0.818 0.142 0.425
O 0.573 0.644 0.076
O 0.769 0.841 0.477
O 0.013 0.196 0.911
O 0.602 0.172 0.805
O 0.086 0.691 0.757
O 0.241 0.314 0.741
O 0.079 0.697 0.477
O 0.157 0.481 0.756
O 0.253 0.870 0.358
O 0.231 0.294 0.026
O 0.157 0.832 0.256
O 0.073 0.643 0.076
O 0.753 0.145 0.925
O 0.738 0.170 0.243
O 0.573 0.502 0.576
O 0.414 0.796 0.309
O 0.752 0.635 0.858
O 0.241 0.168 0.242
O 0.988 0.164 0.591
O 0.231 0.169 0.527
O 0.587 0.206 0.690
O 0.414 0.306 0.242
O 0.178 0.855 0.576
O 0.513 0.196 0.911
O 0.183 0.867 0.860
O 0.602 0.036 0.308
O 0.073 0.502 0.576
O 0.315 0.502 0.641
O 0.253 0.145 0.925
O 0.580 0.464 0.977
O 0.270 0.837 0.474
O 0.346 0.521 0.243
O 0.084 0.193 0.412
O 0.915 0.308 0.242
O 0.151 0.463 0.477
O 0.918 0.023 0.090
O 0.516 0.824 0.690
O 0.903 0.974 0.412
Na 0.516 0.699 0.583
Na 0.350 0.669 0.414
Na 0.500 0.000 0.001
Na 0.151 0.334 0.583
Na 0.000 0.999 0.500
Na 0.151 0.968 0.083
Na 0.333 0.698 0.083
Na 0.666 0.675 0.170
Na 0.651 0.334 0.582
Na 0.833 0.968 0.583
Na 0.682 0.362 0.251
Na 0.164 0.657 0.170
Na 0.665 0.033 0.415
Na 0.000 0.000 0.001
Na 0.318 0.999 0.251
Na 0.651 0.968 0.084
Na 0.840 0.339 0.333
Na 0.833 0.698 0.083
Na 0.334 0.326 0.836
Na 0.016 0.698 0.583
Na 0.333 0.969 0.583
Na 0.317 0.634 0.751
Na 0.834 0.326 0.836
Na 0.016 0.334 0.083
Na 0.500 0.009 0.496
Na 0.516 0.334 0.083
Na 0.335 0.335 0.333
Na 0.817 0.635 0.751
Na 0.163 0.667 0.670
Na 0.663 0.667 0.670
P 0.477 0.333 0.583
P 0.690 0.046 0.583
P 0.477 0.620 0.083
P 0.500 0.292 0.250
P 0.333 0.621 0.583
P 0.645 0.996 0.250
P 0.977 0.333 0.583
P 0.805 0.655 0.917
P 0.833 0.621 0.584
P 0.353 0.003 0.748
P 0.333 0.047 0.084
P 0.356 0.708 0.251
P 0.522 0.390 0.918
P 0.690 0.333 0.083
P 0.647 0.293 0.747
P 0.311 0.959 0.416
P 0.305 0.655 0.917
P 0.002 0.706 0.747
P 0.521 0.662 0.417
P 0.169 0.385 0.418
P 0.976 0.620 0.083
P 0.190 0.333 0.083
P 0.853 0.706 0.247
P 0.667 0.380 0.416
P 0.000 0.296 0.247
P 0.146 0.293 0.747
P 0.023 0.657 0.418
P 0.808 0.954 0.418
P 0.833 0.047 0.083
P 0.022 0.390 0.918
P 0.853 0.003 0.748
P 0.173 0.955 0.918
P 0.147 0.000 0.247
P 0.673 0.955 0.918
P 0.190 0.047 0.583
P 0.502 0.706 0.747
Al 0.501 0.001 0.650
Al 0.001 0.001 0.650
Al 0.166 0.666 0.018
Al 0.834 0.330 0.687
Al 0.167 0.669 0.517
Al 0.165 0.662 0.314
Al 0.499 0.005 0.352
Al 0.666 0.663 0.516
Al 0.334 0.342 0.187
Al 0.333 0.334 0.979
Al 0.164 0.668 0.815
Al 0.834 0.333 0.979
Al 0.000 0.002 0.149
Al 0.665 0.669 0.314
Al 0.664 0.668 0.815
Al 0.333 0.325 0.479
Al 0.666 0.667 0.017
Al 0.334 0.329 0.687
Al 0.836 0.339 0.479
Al 0.835 0.329 0.187
Al 0.500 0.998 0.151
Ta 0.000 0.999 0.354
Ta 0.001 0.002 0.857
Ta 0.501 0.002 0.857

DFT formation energy ... -2903 meV per atom
Total DFT energy (no corrections) ... -547.3 eV/f.u.
V ... 11.8 Å³ per atom
Mass density ... 3.15 g/cm³
Space-group type ... P1 (1)

Record 6
Density functional theory data (PBE) for a relaxed CaSi2Au2 crystal.

Cell lengths 4.382, 4.382, 5.929 Å; angles 111.69, 111.69, 90.00 degrees
Positions (direct):
Au 0.750 0.250 0.500
Au 0.250 0.750 0.500
Ca 0.000 0.000 0.000
Si 0.385 0.385 0.770
Si 0.615 0.615 0.230

DFT formation energy ... -478 meV per atom
Total DFT energy (no corrections) ... -21.8 eV/f.u.
V ... 19.4 Å³ per atom
Mass density ... 8.39 g/cm³
Space-group type ... I4/mmm (139)

Record 7
Density functional theory data (PBE) for a relaxed CeMg6C crystal.

Cell lengths 7.065, 7.065, 4.924 Å; angles 90.00, 90.00, 133.49 degrees
Positions (direct):
Mg 0.204 0.796 0.000
Mg 0.177 0.334 0.000
Mg 0.648 0.352 0.000
Mg 0.666 0.823 0.000
Mg 0.303 0.204 0.500
Mg 0.796 0.697 0.500
C 0.396 0.604 0.500
Ce 0.808 0.192 0.500

DFT formation energy ... 417 meV per atom
Total DFT energy (no corrections) ... -21.4 eV/f.u.
V ... 22.3 Å³ per atom
Mass density ... 2.77 g/cm³
Polymorph energy (0 for the lowest one) ... 191 meV/atom
Space-group type ... Amm2 (38)

Record 8
Density functional theory data (PBE) for a relaxed TlV5S8 crystal.

Cell lengths 8.936, 8.936, 8.540 Å; angles 75.57, 75.57, 20.99 degrees
Positions (direct):
S 0.161 0.161 0.000
S 0.839 0.839 0.000
S 0.085 0.085 0.681
S 0.759 0.759 0.660
S 0.241 0.241 0.340
S 0.915 0.915 0.319
S 0.574 0.574 0.321
S 0.426 0.426 0.679
V 0.711 0.711 0.141
V 0.648 0.648 0.504
V 0.352 0.352 0.496
V 0.000 0.000 0.500
V 0.289 0.289 0.859
Tl 0.500 0.500 0.000

DFT formation energy ... -1183 meV per atom
Total DFT energy (no corrections) ... -93.4 eV/f.u.
V ... 16.9 Å³ per atom
Mass density ... 5.03 g/cm³
Space-group type ... C2/m (12)

Record 9
Density functional theory data (PBE) for a relaxed NaH8SeNO6 crystal.

Cell lengths 11.280, 14.168, 6.028 Å; angles 90.00, 90.00, 90.00 degrees
Positions (direct):
H 0.251 0.677 0.099
H 0.512 0.899 0.324
H 0.192 0.178 0.833
H 0.138 0.263 0.210
H 0.470 0.327 0.294
H 0.249 0.177 0.901
H 0.970 0.173 0.706
H 0.421 0.827 0.399
H 0.638 0.237 0.790
H 0.308 0.678 0.167
H 0.579 0.173 0.399
H 0.943 0.434 0.239
H 0.025 0.654 0.105
H 0.362 0.763 0.790
H 0.488 0.101 0.324
H 0.079 0.327 0.601
H 0.808 0.822 0.833
H 0.751 0.823 0.901
H 0.443 0.066 0.761
H 0.975 0.346 0.105
H 0.012 0.601 0.676
H 0.057 0.566 0.239
H 0.862 0.737 0.210
H 0.557 0.934 0.761
H 0.525 0.846 0.895
H 0.921 0.673 0.601
H 0.530 0.673 0.294
H 0.988 0.399 0.676
H 0.749 0.323 0.099
H 0.030 0.827 0.706
H 0.475 0.154 0.895
H 0.692 0.322 0.167
O 0.945 0.747 0.167
O 0.253 0.088 0.407
O 0.055 0.253 0.167
O 0.555 0.247 0.833
O 0.058 0.588 0.086
O 0.430 0.896 0.377
O 0.558 0.912 0.914
O 0.070 0.396 0.623
O 0.526 0.301 0.401
O 0.445 0.753 0.833
O 0.570 0.104 0.377
O 0.026 0.199 0.599
O 0.747 0.912 0.407
O 0.188 0.660 0.647
O 0.930 0.604 0.623
O 0.942 0.412 0.086
O 0.312 0.160 0.353
O 0.974 0.801 0.599
O 0.753 0.412 0.593
O 0.474 0.699 0.401
O 0.688 0.840 0.353
O 0.812 0.340 0.647
O 0.442 0.088 0.914
O 0.247 0.588 0.593
N 0.639 0.615 0.744
N 0.361 0.385 0.744
N 0.139 0.885 0.256
N 0.861 0.115 0.256
Na 0.815 0.543 0.904
Na 0.685 0.043 0.096
Na 0.315 0.957 0.096
Na 0.185 0.457 0.904
Se 0.001 0.133 0.314
Se 0.499 0.633 0.686
Se 0.501 0.367 0.686
Se 0.999 0.867 0.314

DFT formation energy ... -750 meV per atom
Total DFT energy (no corrections) ... -78.6 eV/f.u.
V ... 14.2 Å³ per atom
Mass density ... 1.52 g/cm³
Polymorph energy (0 for the lowest one) ... 424 meV/atom
Space-group type ... P2_12_12 (18)